Entry 1:
VASP calculation (GGA-PBE) on a relaxed structure of UCu2Sn2.

Properties
DFT formation energy (kJ/mol of atoms): 1.8

Lattice parameters (Å, degrees): 4.406 4.406 10.504 90.00 90.00 90.00
Space group P4/nmm (No. 129, origin choice 2)
Unique sites:
U 0.250 0.250 0.241 x2
Cu 0.250 0.250 0.634 x2
Cu 0.250 0.750 0.000 x2
Sn 0.250 0.250 0.869 x2
Sn 0.250 0.750 0.500 x2



Entry 2:
VASP calculation (GGA-PBE) on a relaxed structure of Sr2TbGaCu2O7.

Properties
DFT formation energy (kJ/mol of atoms): -240.9

Lattice parameters (Å, degrees): 23.200 5.536 5.416 90.00 90.00 90.00
Space group Ima2 (No. 46)
Unique sites:
Sr 0.152 0.018 0.000 x8
Tb 0.000 0.000 0.002 x4
Ga 0.250 0.569 0.964 x4
Cu 0.072 0.501 0.002 x8
O 0.062 0.249 0.251 x8
O 0.064 0.750 0.252 x8
O 0.177 0.047 0.531 x8
O 0.250 0.617 0.611 x4



Entry 3:
VASP calculation (GGA-PBE) on a relaxed structure of LiCuPO4.

Properties
E above lowest polymorph (meV/atom): 15
DFT formation energy (kJ/mol of atoms): -210.5

Lattice parameters (Å, degrees): 17.366 9.853 16.386 90.00 98.99 90.00
Space group Cc (No. 9)
Unique sites:
Li 0.000 0.054 0.000 x4
Li 0.131 0.313 0.252 x4
Li 0.162 0.161 0.751 x4
Li 0.219 0.337 0.000 x4
Li 0.250 0.194 0.501 x4
Li 0.383 0.438 0.752 x4
Li 0.411 0.089 0.252 x4
Li 0.470 0.086 0.002 x4
Cu 0.070 0.442 0.876 x4
Cu 0.098 0.086 0.374 x4
Cu 0.162 0.089 0.123 x4
Cu 0.187 0.440 0.626 x4
Cu 0.321 0.191 0.876 x4
Cu 0.348 0.338 0.375 x4
Cu 0.409 0.165 0.624 x4
Cu 0.439 0.314 0.126 x4
P 0.002 0.158 0.813 x4
P 0.068 0.342 0.066 x4
P 0.096 0.186 0.564 x4
P 0.223 0.439 0.814 x4
P 0.252 0.091 0.314 x4
P 0.319 0.093 0.065 x4
P 0.344 0.435 0.564 x4
P 0.474 0.190 0.815 x4
O 0.007 0.315 0.801 x4
O 0.025 0.273 0.576 x4
O 0.044 0.224 0.300 x4
O 0.062 0.186 0.075 x4
O 0.076 0.092 0.488 x4
O 0.085 0.097 0.823 x4
O 0.106 0.378 0.989 x4
O 0.120 0.093 0.641 x4
O 0.121 0.400 0.143 x4
O 0.157 0.466 0.332 x4
O 0.165 0.281 0.551 x4
O 0.197 0.150 0.238 x4
O 0.198 0.352 0.735 x4
O 0.214 0.123 0.392 x4
O 0.237 0.160 0.056 x4
O 0.244 0.339 0.888 x4
O 0.259 0.065 0.801 x4
O 0.273 0.476 0.074 x4
O 0.295 0.475 0.300 x4
O 0.311 0.062 0.577 x4
O 0.326 0.338 0.489 x4
O 0.334 0.155 0.324 x4
O 0.357 0.125 0.988 x4
O 0.366 0.346 0.643 x4
O 0.375 0.152 0.140 x4
O 0.407 0.285 0.833 x4
O 0.414 0.472 0.051 x4
O 0.448 0.101 0.737 x4
O 0.449 0.400 0.236 x4
O 0.464 0.377 0.390 x4
O 0.485 0.095 0.556 x4
O 0.494 0.091 0.890 x4